Record 1
{"formula": "Na4YNbSi3O12", "functional": "PBE", "state": "optimized geometry", "e_form_ev_per_fu": -62.4, "cell": [[-5.9232, -7.2775, 0.2023], [8.0618, -0.6419, -4.7626], [10.4055, -7.9498, 18.6850]], "species": ["Si", "O", "Si", "O", "Na", "O", "Si", "O", "Si", "O", "Si", "O", "Y", "Na", "Na", "O", "O", "O", "O", "O", "O", "Na", "Si", "Na", "Na", "O", "O", "O", "Nb", "O", "Y", "O", "O", "O", "O", "O", "Nb", "O", "Na", "O", "O", "Na", "O", "O", "Si", "Na", "O", "O", "O", "Na", "O", "Na", "O", "Na", "O", "O", "O", "Si", "O", "O", "O", "O", "O", "Si", "Si", "Na", "O", "Na", "Nb", "Y", "O", "O", "Si", "Y", "O", "O", "Nb", "Si", "O", "Na", "O", "Na", "O", "O", "Y", "Si", "O", "O", "O", "Nb", "O", "O", "O", "Na", "Na", "O", "O", "O", "O", "O", "O", "Si", "O", "O", "Si", "O", "Na", "O", "Na", "O", "Na", "O", "O", "Na", "Na", "O", "Si", "Si", "O", "O", "Si", "O", "Na", "O", "Y", "Nb"], "frac_coords": [[0.3649, 0.0389, 0.5843], [0.4796, 0.3326, 0.7453], [0.0074, 0.3018, 0.2510], [0.5184, 0.3712, 0.4214], [0.3333, 0.6667, 0.6627], [0.8861, 0.3588, 0.6422], [0.0316, 0.3722, 0.9176], [0.8305, 0.5270, 0.0276], [0.2944, 0.9926, 0.2510], [0.1638, 0.9702, 0.1943], [0.3407, 0.3722, 0.4176], [0.3340, 0.4803, 0.0786], [0.3333, 0.6667, 0.5153], [0.0000, 0.0000, 0.4960], [0.6667, 0.3333, 0.3293], [0.6965, 0.5270, 0.5276], [0.5195, 0.7046, 0.2547], [0.1861, 0.0379, 0.5881], [0.1394, 0.4473, 0.9756], [0.8061, 0.7806, 0.3089], [0.5527, 0.8606, 0.4756], [0.0407, 0.3464, 0.0815], [0.0074, 0.7056, 0.7510], [0.3202, 0.0276, 0.4148], [0.6390, 0.6259, 0.7482], [0.2194, 0.0255, 0.3089], [0.1863, 0.9993, 0.9120], [0.9745, 0.1939, 0.3089], [0.0000, 0.0000, 0.6483], [0.1463, 0.4803, 0.5786], [0.0000, 0.0000, 0.3486], [0.6412, 0.1139, 0.1422], [0.9745, 0.7806, 0.8089], [0.6288, 0.4816, 0.9214], [0.0298, 0.1936, 0.1943], [0.2954, 0.4805, 0.7547], [0.6667, 0.3333, 0.4816], [0.8518, 0.0379, 0.0881], [0.9869, 0.3610, 0.7482], [0.9621, 0.1482, 0.5881], [0.8064, 0.8362, 0.1943], [0.6536, 0.9593, 0.5815], [0.8305, 0.3035, 0.5276], [0.1397, 0.6369, 0.3610], [0.6278, 0.9684, 0.4176], [0.3057, 0.3464, 0.5815], [0.4728, 0.1139, 0.6422], [0.8061, 0.0255, 0.8089], [0.1394, 0.6922, 0.4756], [0.0000, 0.0000, 0.9960], [0.9621, 0.8139, 0.0881], [0.3057, 0.9593, 0.0815], [0.8530, 0.3326, 0.2453], [0.6536, 0.6943, 0.0815], [0.3078, 0.4473, 0.4756], [0.6674, 0.1470, 0.7453], [0.8530, 0.5204, 0.7453], [0.3649, 0.3260, 0.0843], [0.5527, 0.6922, 0.9756], [0.1851, 0.7046, 0.7547], [0.2954, 0.8149, 0.2547], [0.8528, 0.3712, 0.9214], [0.5184, 0.1472, 0.9214], [0.3407, 0.9684, 0.9176], [0.6982, 0.7056, 0.2510], [0.0407, 0.6943, 0.5815], [0.1851, 0.4805, 0.2547], [0.6390, 0.0131, 0.2482], [0.0000, 0.0000, 0.1483], [0.0000, 0.0000, 0.8486], [0.8064, 0.9702, 0.6943], [0.3078, 0.8606, 0.9756], [0.0316, 0.6593, 0.4176], [0.6667, 0.3333, 0.1820], [0.1861, 0.1482, 0.0881], [0.3631, 0.8603, 0.8610], [0.6667, 0.3333, 0.9816], [0.9611, 0.6351, 0.0843], [0.6412, 0.5272, 0.6422], [0.9724, 0.2926, 0.4148], [0.8861, 0.5272, 0.1422], [0.3202, 0.2926, 0.9148], [0.8130, 0.8137, 0.9120], [0.4730, 0.1695, 0.5276], [0.6667, 0.3333, 0.6820], [0.6982, 0.9926, 0.7510], [0.6965, 0.1695, 0.0276], [0.4728, 0.3588, 0.1422], [0.5195, 0.8149, 0.7547], [0.3333, 0.6667, 0.3149], [0.1638, 0.1936, 0.6943], [0.6288, 0.1472, 0.4214], [0.3340, 0.8537, 0.5786], [0.3741, 0.3610, 0.2482], [0.3741, 0.0131, 0.7482], [0.0298, 0.8362, 0.6943], [0.8528, 0.4816, 0.4214], [0.4972, 0.8603, 0.3610], [0.1863, 0.1870, 0.4120], [0.5197, 0.8537, 0.0786], [0.5197, 0.6660, 0.5786], [0.9611, 0.3260, 0.5843], [0.4796, 0.1470, 0.2453], [0.8130, 0.9993, 0.4120], [0.6740, 0.0389, 0.0843], [0.4972, 0.6369, 0.8610], [0.3333, 0.6667, 0.1627], [0.0007, 0.8137, 0.4120], [0.7074, 0.0276, 0.9148], [0.8518, 0.8139, 0.5881], [0.9724, 0.6798, 0.9148], [0.3631, 0.5028, 0.3610], [0.2194, 0.1939, 0.8089], [0.6667, 0.3333, 0.8293], [0.9869, 0.6259, 0.2482], [0.0007, 0.1870, 0.9120], [0.6740, 0.6351, 0.5843], [0.2944, 0.3018, 0.7510], [0.6674, 0.5204, 0.2453], [0.1397, 0.5028, 0.8610], [0.6278, 0.6593, 0.9176], [0.4730, 0.3035, 0.0276], [0.7074, 0.6798, 0.4148], [0.1463, 0.6660, 0.0786], [0.3333, 0.6667, 0.0153], [0.3333, 0.6667, 0.8149]]}


Record 2
{"formula": "Na14Y3Nb5Si12O48", "functional": "PBE", "state": "optimized geometry", "e_form_ev_per_fu": -245.3, "space_group": "P1", "cell": [[9.2869, 0.0000, 0.0000], [-0.0040, 16.1069, 0.0000], [-0.0105, -0.0297, 22.4246]], "species": ["Na", "Na", "Na", "Na", "Na", "Na", "Na", "Na", "Na", "Na", "Na", "Na", "Na", "Na", "Na", "Na", "Na", "Na", "Na", "Na", "Na", "Na", "Na", "Na", "Na", "Na", "Na", "Na", "Na", "Na", "Na", "Na", "Na", "Na", "Na", "Na", "Na", "Na", "Na", "Na", "Na", "Na", "Y", "Y", "Y", "Y", "Y", "Y", "Y", "Y", "Y", "Nb", "Nb", "Nb", "Nb", "Nb", "Nb", "Nb", "Nb", "Nb", "Nb", "Nb", "Nb", "Nb", "Nb", "Nb", "Si", "Si", "Si", "Si", "Si", "Si", "Si", "Si", "Si", "Si", "Si", "Si", "Si", "Si", "Si", "Si", "Si", "Si", "Si", "Si", "Si", "Si", "Si", "Si", "Si", "Si", "Si", "Si", "Si", "Si", "Si", "Si", "Si", "Si", "Si", "Si", "O", "O", "O", "O", "O", "O", "O", "O", "O", "O", "O", "O", "O", "O", "O", "O", "O", "O", "O", "O", "O", "O", "O", "O", "O", "O", "O", "O", "O", "O", "O", "O", "O", "O", "O", "O", "O", "O", "O", "O", "O", "O", "O", "O", "O", "O", "O", "O", "O", "O", "O", "O", "O", "O", "O", "O", "O", "O", "O", "O", "O", "O", "O", "O", "O", "O", "O", "O", "O", "O", "O", "O", "O", "O", "O", "O", "O", "O", "O", "O", "O", "O", "O", "O", "O", "O", "O", "O", "O", "O", "O", "O", "O", "O", "O", "O", "O", "O", "O", "O", "O", "O", "O", "O", "O", "O", "O", "O", "O", "O", "O", "O", "O", "O", "O", "O", "O", "O", "O", "O", "O", "O", "O", "O", "O", "O", "O", "O", "O", "O", "O", "O", "O", "O", "O", "O", "O", "O", "O", "O", "O", "O", "O", "O"], "frac_coords": [[0.0000, 0.0000, 0.0000], [0.0004, 0.6659, 0.3317], [0.1117, 0.1639, 0.8315], [0.1140, 0.5041, 0.5004], [0.1147, 0.8340, 0.1673], [0.1252, 0.1297, 0.5004], [0.1305, 0.4709, 0.1703], [0.1340, 0.8002, 0.8311], [0.1731, 0.4937, 0.8322], [0.1793, 0.8245, 0.5005], [0.2990, 0.3121, 0.7511], [0.3049, 0.9904, 0.0852], [0.3063, 0.6530, 0.4147], [0.3071, 0.6532, 0.9128], [0.3135, 0.3117, 0.2505], [0.3156, 0.9866, 0.5899], [0.4414, 0.4915, 0.3334], [0.4430, 0.8272, 0.9988], [0.4785, 0.7998, 0.3315], [0.4854, 0.1328, 0.9976], [0.4849, 0.4712, 0.6730], [0.4976, 0.5021, 0.9977], [0.4995, 0.1645, 0.3320], [0.6121, 0.6647, 0.8316], [0.6143, 0.0037, 0.4999], [0.6256, 0.6303, 0.5002], [0.6327, 0.9674, 0.1676], [0.6345, 0.3004, 0.8309], [0.6731, 0.6586, 0.1666], [0.6729, 0.9933, 0.8324], [0.6799, 0.3242, 0.5009], [0.7990, 0.4822, 0.0859], [0.7996, 0.8121, 0.7519], [0.8065, 0.1518, 0.9126], [0.8067, 0.1519, 0.4135], [0.8069, 0.8200, 0.2477], [0.8155, 0.4867, 0.5902], [0.9316, 0.3234, 0.9998], [0.9391, 0.9945, 0.3307], [0.9803, 0.3004, 0.3318], [0.9800, 0.6318, 0.0006], [0.9846, 0.9711, 0.6729], [0.3060, 0.6546, 0.7645], [0.3064, 0.9864, 0.4408], [0.3061, 0.9881, 0.9359], [0.3080, 0.6493, 0.2686], [0.8051, 0.1580, 0.2659], [0.8061, 0.1546, 0.7636], [0.8062, 0.4860, 0.4420], [0.8073, 0.4841, 0.9378], [0.8066, 0.8203, 0.1023], [0.3041, 0.9889, 0.2336], [0.3051, 0.3176, 0.6081], [0.3052, 0.6535, 0.5698], [0.3060, 0.3192, 0.3984], [0.3064, 0.3194, 0.8976], [0.3060, 0.6534, 0.0675], [0.3080, 0.3166, 0.1074], [0.3102, 0.9856, 0.7330], [0.8051, 0.1533, 0.5696], [0.8054, 0.4828, 0.2336], [0.8049, 0.8176, 0.6080], [0.8067, 0.8197, 0.3976], [0.8069, 0.8196, 0.9004], [0.8083, 0.1525, 0.0692], [0.8103, 0.4857, 0.7332], [0.0047, 0.6490, 0.1720], [0.0064, 0.9841, 0.8375], [0.0174, 0.3142, 0.5043], [0.1032, 0.4825, 0.3396], [0.1072, 0.8153, 0.0048], [0.1103, 0.1512, 0.6711], [0.1523, 0.1771, 0.0032], [0.1532, 0.5023, 0.6700], [0.1549, 0.8391, 0.3387], [0.1574, 0.8051, 0.6710], [0.1605, 0.1363, 0.3401], [0.1674, 0.4656, 0.0051], [0.4430, 0.4668, 0.5051], [0.4510, 0.8050, 0.1722], [0.4517, 0.1372, 0.8372], [0.4598, 0.1776, 0.5038], [0.4603, 0.5017, 0.1695], [0.4599, 0.8384, 0.8382], [0.5047, 0.1512, 0.1712], [0.5083, 0.4836, 0.8368], [0.5176, 0.8144, 0.5039], [0.5959, 0.3145, 0.0040], [0.6036, 0.9845, 0.3382], [0.6102, 0.6512, 0.6712], [0.6508, 0.6716, 0.0049], [0.6529, 0.0022, 0.6699], [0.6534, 0.3390, 0.3403], [0.6575, 0.3053, 0.6709], [0.6640, 0.9726, 0.0048], [0.6647, 0.6351, 0.3386], [0.9433, 0.9666, 0.5051], [0.9510, 0.6355, 0.8391], [0.9558, 0.3043, 0.1708], [0.9586, 0.3374, 0.8387], [0.9596, 0.6779, 0.5037], [0.9620, 0.0056, 0.1726], [0.0144, 0.4966, 0.4005], [0.0201, 0.8286, 0.0656], [0.0296, 0.1676, 0.7329], [0.0913, 0.0005, 0.8994], [0.0949, 0.6609, 0.2323], [0.1167, 0.9772, 0.5064], [0.1218, 0.3036, 0.4433], [0.1216, 0.6511, 0.8312], [0.1230, 0.9734, 0.7803], [0.1247, 0.6394, 0.1144], [0.1291, 0.3233, 0.1603], [0.1327, 0.3216, 0.5588], [0.1380, 0.6726, 0.5080], [0.1387, 0.3395, 0.8392], [0.1405, 0.0023, 0.1750], [0.1714, 0.7562, 0.7325], [0.1818, 0.0860, 0.4017], [0.1916, 0.2343, 0.9425], [0.1923, 0.3923, 0.3404], [0.1952, 0.7247, 0.0063], [0.1961, 0.5681, 0.6135], [0.1981, 0.0622, 0.6726], [0.1977, 0.9024, 0.2814], [0.2117, 0.4083, 0.0621], [0.2142, 0.7450, 0.3331], [0.2156, 0.5589, 0.3357], [0.2168, 0.8930, 0.0002], [0.2181, 0.2301, 0.6586], [0.2186, 0.2316, 0.0584], [0.2209, 0.0852, 0.0052], [0.2210, 0.8755, 0.4000], [0.2230, 0.4096, 0.6583], [0.2328, 0.7491, 0.6149], [0.2341, 0.5339, 0.7291], [0.2352, 0.8973, 0.6732], [0.2370, 0.0804, 0.2844], [0.2368, 0.4175, 0.9448], [0.2493, 0.5570, 0.0096], [0.2531, 0.2254, 0.3403], [0.3605, 0.8937, 0.1738], [0.3606, 0.2268, 0.8386], [0.3623, 0.5589, 0.5083], [0.3754, 0.0804, 0.7823], [0.3747, 0.4179, 0.4448], [0.3781, 0.7491, 0.1143], [0.3840, 0.5318, 0.2302], [0.3885, 0.0861, 0.5065], [0.3919, 0.4091, 0.1578], [0.3940, 0.2288, 0.1584], [0.3947, 0.2323, 0.5587], [0.3963, 0.8754, 0.8994], [0.3978, 0.7452, 0.8319], [0.3986, 0.5612, 0.8321], [0.3997, 0.4091, 0.5617], [0.4116, 0.9032, 0.7823], [0.4159, 0.8959, 0.5062], [0.4170, 0.3937, 0.8398], [0.4186, 0.0609, 0.1735], [0.4194, 0.5695, 0.1144], [0.4208, 0.7279, 0.5093], [0.4219, 0.2346, 0.4430], [0.4284, 0.7511, 0.2316], [0.4316, 0.0891, 0.8994], [0.4708, 0.6706, 0.0061], [0.4735, 0.3406, 0.3399], [0.4770, 0.9976, 0.6751], [0.4804, 0.3221, 0.0587], [0.4838, 0.3226, 0.6601], [0.4850, 0.6393, 0.6159], [0.4881, 0.9735, 0.2805], [0.4905, 0.3039, 0.9432], [0.4934, 0.6513, 0.3336], [0.4933, 0.9894, 0.9998], [0.5153, 0.9988, 0.3994], [0.5288, 0.6673, 0.7329], [0.5825, 0.1693, 0.2335], [0.5978, 0.4959, 0.8977], [0.6162, 0.4778, 0.5068], [0.6224, 0.1524, 0.8301], [0.6223, 0.4731, 0.7790], [0.6218, 0.8034, 0.4430], [0.6217, 0.8220, 0.1677], [0.6285, 0.1393, 0.1161], [0.6324, 0.8216, 0.5587], [0.6381, 0.1726, 0.5080], [0.6376, 0.5021, 0.1742], [0.6400, 0.8386, 0.8402], [0.6710, 0.2566, 0.7324], [0.6857, 0.9219, 0.0653], [0.6867, 0.5839, 0.3997], [0.6913, 0.2282, 0.0099], [0.6938, 0.8941, 0.3404], [0.6954, 0.7356, 0.9476], [0.6960, 0.0681, 0.6134], [0.6982, 0.3954, 0.0058], [0.6987, 0.5623, 0.6728], [0.7017, 0.4029, 0.2836], [0.7134, 0.0618, 0.3324], [0.7134, 0.5782, 0.0005], [0.7140, 0.2457, 0.3350], [0.7146, 0.7086, 0.0657], [0.7173, 0.3757, 0.4017], [0.7178, 0.7301, 0.6588], [0.7228, 0.9096, 0.6582], [0.7327, 0.2491, 0.6148], [0.7337, 0.0338, 0.7289], [0.7359, 0.3973, 0.6730], [0.7356, 0.5821, 0.2805], [0.7367, 0.9169, 0.9475], [0.7540, 0.7253, 0.3398], [0.7552, 0.0622, 0.0059], [0.8604, 0.7253, 0.8414], [0.8625, 0.0588, 0.5084], [0.8752, 0.3965, 0.1737], [0.8748, 0.5799, 0.7832], [0.8746, 0.9178, 0.4449], [0.8804, 0.2496, 0.1149], [0.8882, 0.5864, 0.5067], [0.8918, 0.0434, 0.2319], [0.8954, 0.0607, 0.8309], [0.8948, 0.3704, 0.9013], [0.8947, 0.7324, 0.5588], [0.8961, 0.7266, 0.1678], [0.8982, 0.2442, 0.8313], [0.8999, 0.9091, 0.5618], [0.9017, 0.9116, 0.1680], [0.9100, 0.4034, 0.7837], [0.9139, 0.0674, 0.1140], [0.9141, 0.5599, 0.1733], [0.9159, 0.3957, 0.5068], [0.9178, 0.8932, 0.8409], [0.9209, 0.2279, 0.5093], [0.9220, 0.7346, 0.4428], [0.9328, 0.5849, 0.9008], [0.9426, 0.2579, 0.2334], [0.9744, 0.8398, 0.3402], [0.9746, 0.1741, 0.0085], [0.9773, 0.4974, 0.6754], [0.9838, 0.8225, 0.6602], [0.9848, 0.1394, 0.6159], [0.9881, 0.4734, 0.2815], [0.9884, 0.8059, 0.9473], [0.9902, 0.1533, 0.3337], [0.9941, 0.4765, 0.0064]]}